(1)
DFT (GGA+U) results for a relaxed CrFeO3 crystal.

## Properties
The space group is P1 (1). The calculation puts the formation energy at -1.589 eV/atom.

Cell: 10.3527 10.1270 9.9566 Å, 85.03 86.49 88.16°
Closest atoms and distances in Å follow each position.
Positions (direct):
Cr 0.9872 0.0028 0.3848  3 O 1.76-1.93
Cr 0.4624 0.0829 0.9795  3 O 1.71-1.82
Cr 0.6707 0.0537 0.3849  3 O 1.69-1.86
Cr 0.5694 0.4458 0.5215  4 O 1.91-2.03
Cr 0.7227 0.2126 0.8125  4 O 1.94-2.04
Cr 0.2522 0.6356 0.5366  4 O 1.77-1.91
Cr 0.8738 0.7007 0.7810  3 O 1.78-1.93
Cr 0.2842 0.3134 0.4761  3 O 1.93-2.03
Cr 0.2026 0.1823 0.8580  6 O 1.96-2.11
Cr 0.7788 0.8005 0.4249  6 O 2.00-2.13
Cr 0.1394 0.4603 0.7507  5 O 1.99-2.08
Cr 0.7956 0.4382 0.3118  1 O 1.62
Cr 0.4871 0.7225 0.5974  5 O 1.89-2.08
Cr 0.1159 0.6957 0.9804  3 O 1.71-1.90
Cr 0.5106 0.7084 0.2882  3 O 1.85-1.96
Cr 0.4560 0.1439 0.6354  3 O 1.81-1.84
Fe 0.6498 0.5272 0.0469  5 O 2.04-2.22
Fe 0.2313 0.3548 0.0445  5 O 1.98-2.13
Fe 0.2526 0.9960 0.4791  4 O 1.89-1.98
Fe 0.7107 0.0013 0.0696  4 O 1.98-2.14
Fe 0.7358 0.4918 0.7474  5 O 1.94-2.07
Fe 0.9882 0.0632 0.0455  5 O 1.92-2.14
Fe 0.5224 0.2854 0.2322  3 O 1.99-2.08
Fe 0.5569 0.7679 0.9345  5 O 1.99-2.13
Fe 0.6989 0.9336 0.7012  4 O 1.94-2.02
Fe 0.2488 0.5637 0.2593  4 O 1.90-1.99
Fe 0.9994 0.1071 0.7095  4 O 1.89-1.94
Fe 0.3037 0.8614 0.7702  2 O 1.92-2.12
Fe 0.9057 0.6821 0.1893  2 O 2.00-2.08
Fe 0.1456 0.8131 0.2457  3 O 1.90-2.04
Fe 0.9430 0.3994 0.9807  4 O 2.04-2.25
Fe 0.4751 0.4316 0.8399  3 O 1.84-2.02
O 0.3378 0.7252 0.2235  1 Fe 1.90, 1 Cr 1.94
O 0.2148 0.6386 0.7121  1 Cr 1.77
O 0.0812 0.2698 0.7322  1 Fe 1.91, 2 Cr 1.97-2.07
O 0.7101 0.3528 0.6305  1 Fe 1.94, 1 Cr 2.03
O 0.7779 0.7704 0.6286  2 Cr 1.93-2.02, 1 Fe 1.99
O 0.5108 0.8235 0.7459  1 Cr 1.90, 1 Fe 2.00
O 0.7134 0.9298 0.2609  1 Cr 1.86, 1 Fe 1.98
O 0.4709 0.5523 0.9680  2 Fe 1.84-2.06
O 0.1514 0.6651 0.3975  1 Cr 1.78, 1 Fe 1.99
O 0.5909 0.0464 0.5703  2 Cr 1.81-1.97
O 0.0997 0.6242 0.1637  1 Cr 1.90, 2 Fe 1.92-2.08
O 0.9641 0.8289 0.3638  2 Cr 1.82-2.00
O 0.5366 0.1691 0.8134  3 Cr 1.93-2.04
O 0.3133 0.0690 0.7259  1 Cr 1.83
O 0.0739 0.0478 0.5405  1 Cr 1.93, 2 Fe 1.94-1.98
O 0.9157 0.3530 0.3760  1 Cr 1.62
O 0.5546 0.5475 0.6826  2 Cr 1.98-2.02, 2 Fe 2.02-2.07
O 0.6583 0.3756 0.8987  2 Fe 1.98-2.07, 1 Cr 2.00
O 0.0021 0.7646 0.8645  2 Cr 1.78
O 0.3736 0.1339 0.4563  1 Fe 1.90, 2 Cr 2.03
O 0.3199 0.8298 0.5539  1 Fe 1.91, 2 Cr 2.06-2.13
O 0.4385 0.9159 0.9954  1 Cr 1.71
O 0.2659 0.7596 0.9392  1 Cr 1.71
O 0.5827 0.7885 0.4391  3 Cr 1.89-2.03
O 0.8274 0.1442 0.9725  2 Fe 1.98-2.05, 1 Cr 2.04
O 0.8196 0.0810 0.7137  2 Fe 1.89-1.99, 1 Cr 1.94
O 0.3039 0.3883 0.2184  2 Fe 1.92-1.99
O 0.1213 0.5046 0.9491  2 Cr 1.98-2.06, 2 Fe 2.07-2.15
O 0.6896 0.9100 0.8972  3 Fe 1.94-2.05
O 0.6912 0.2119 0.3183  1 Cr 1.69
O 0.7915 0.6214 0.3500  2 Cr 1.92-2.02, 1 Fe 2.00
O 0.2981 0.3647 0.8378  2 Fe 1.98-2.13, 2 Cr 2.08-2.11
O 0.9232 0.5095 0.7764  1 Cr 1.99, 1 Fe 1.99
O 0.1903 0.4594 0.5531  3 Cr 1.91-2.01
O 0.3117 0.1710 0.0195  2 Cr 1.81-2.01
O 0.0791 0.2515 0.0122  3 Fe 1.98-2.14, 1 Cr 2.09
O 0.8298 0.4970 0.1195  1 Cr 1.97, 2 Fe 2.04-2.06
O 0.4390 0.3229 0.5874  3 Cr 1.84-2.01
O 0.7124 0.6426 0.8685  1 Cr 1.92, 3 Fe 2.03-2.13
O 0.9518 0.0937 0.2322  1 Cr 1.76, 1 Fe 1.92
O 0.0313 0.8578 0.0972  2 Fe 1.96-2.14
O 0.5558 0.1399 0.1118  1 Cr 1.82, 1 Fe 1.99
O 0.0831 0.0345 0.8689  2 Fe 1.93-2.00, 1 Cr 1.96
O 0.6020 0.7125 0.1225  1 Cr 1.85, 1 Fe 1.99
O 0.8120 0.9859 0.4745  3 Cr 1.84-2.03
O 0.1749 0.9777 0.3147  2 Fe 1.89-1.90, 1 Cr 2.04
O 0.4223 0.5944 0.4645  2 Cr 1.91-2.08
O 0.5982 0.4376 0.3216  2 Cr 2.00-2.04, 1 Fe 2.04



(2)
DFT (GGA+U) results for a relaxed CrFeO4 crystal.

## Properties
The space group is C2/m (12). The calculation puts the formation energy at -1.630 eV/atom.

Cell: 6.7918 6.7918 6.8338 Å, 78.01 78.01 84.83°
Closest atoms and distances in Å follow each position.
Positions (direct):
Cr 0.7196 0.7196 0.4123  4 O 1.68-1.85
Cr 0.7424 0.2576 0.0000  4 O 1.68-1.81
Cr 0.2576 0.7424 0.0000  4 O 1.68-1.81
Cr 0.2804 0.2804 0.5877  4 O 1.68-1.85
Fe 0.7956 0.7956 0.8701  5 O 1.91-2.07
Fe 0.8170 0.1830 0.5000  6 O 1.96-2.16
Fe 0.1830 0.8170 0.5000  6 O 1.96-2.16
Fe 0.2044 0.2044 0.1299  5 O 1.91-2.07
O 0.8583 0.8583 0.5431  1 Cr 1.85
O 0.7914 0.7914 0.1509  1 Cr 1.73, 1 Fe 1.91
O 0.7931 0.4978 0.8903  1 Cr 1.68
O 0.4978 0.7931 0.8903  1 Cr 1.68
O 0.4767 0.7973 0.4767  1 Cr 1.68
O 0.7973 0.4767 0.4767  1 Cr 1.68
O 0.1072 0.7980 0.8043  1 Cr 1.81, 1 Fe 2.02
O 0.7980 0.1072 0.8043  1 Cr 1.81, 1 Fe 2.02
O 0.8928 0.2020 0.1957  1 Cr 1.81, 1 Fe 2.02
O 0.2020 0.8928 0.1957  1 Cr 1.81, 1 Fe 2.02
O 0.5233 0.2027 0.5233  1 Cr 1.68
O 0.2027 0.5233 0.5233  1 Cr 1.68
O 0.5022 0.2069 0.1097  1 Cr 1.68
O 0.2069 0.5022 0.1097  1 Cr 1.68
O 0.2086 0.2086 0.8491  1 Cr 1.73, 1 Fe 1.91
O 0.1417 0.1417 0.4569  1 Cr 1.85



(3)
DFT (GGA+U) results for a relaxed CrFeO3 crystal.

## Properties
The space group is P1 (1). The calculation puts the formation energy at -1.629 eV/atom.

Cell: 10.2526 10.8946 9.4267 Å, 92.83 94.63 95.69°
Closest atoms and distances in Å follow each position.
Positions (direct):
Cr 0.9191 0.3339 0.8922  5 O 1.97-2.11
Cr 0.4706 0.1700 0.0346  4 O 1.71-1.88
Cr 0.7821 0.1105 0.4705  5 O 1.96-2.13
Cr 0.2095 0.9744 0.0973  4 O 1.92-2.09
Cr 0.8745 0.3651 0.5904  4 O 1.81-2.00
Cr 0.4353 0.7083 0.4766  5 O 1.95-2.06
Cr 0.1418 0.8333 0.7352  5 O 1.94-2.00
Cr 0.4875 0.1842 0.6510  5 O 1.93-2.11
Cr 0.1941 0.7852 0.3180  5 O 1.80-2.00
Cr 0.6470 0.4877 0.6720  4 O 1.86-2.08
Cr 0.3628 0.9703 0.8471  4 O 1.80-1.99
Cr 0.1223 0.5255 0.6416  4 O 1.72-1.93
Cr 0.7751 0.7925 0.6418  5 O 2.00-2.12
Cr 0.9713 0.1537 0.0462  5 O 1.82-1.94
Cr 0.9558 0.9785 0.2763  5 O 1.90-2.05
Cr 0.5687 0.9455 0.5537  4 O 1.78-1.95
Fe 0.2638 0.3385 0.1517  5 O 1.92-2.05
Fe 0.7650 0.5784 0.0506  3 O 1.90-2.03
Fe 0.0221 0.2812 0.3915  2 O 1.89-1.95
Fe 0.6872 0.7959 0.2693  4 O 1.92-2.04
Fe 0.5702 0.5066 0.3036  4 O 1.87-2.03
Fe 0.6629 0.9272 0.0372  4 O 1.96-2.15
Fe 0.1019 0.5512 0.9451  3 O 1.96-2.05
Fe 0.3832 0.6908 0.1156  4 O 2.04-2.17
Fe 0.8723 0.6062 0.4151  5 O 1.90-2.11
Fe 0.7251 0.3010 0.1994  4 O 2.02-2.23
Fe 0.1422 0.5311 0.2749  4 O 2.02-2.18
Fe 0.2595 0.0310 0.4818  4 O 1.96-2.19
Fe 0.3641 0.3777 0.4827  5 O 1.94-2.18
Fe 0.9058 0.8390 0.9494  4 O 1.99-2.12
Fe 0.5677 0.7264 0.8341  4 O 1.83-1.96
Fe 0.9883 0.0446 0.6788  4 O 1.90-2.12
O 0.0478 0.6751 0.3454  1 Cr 1.87, 2 Fe 2.04-2.05
O 0.3017 0.8382 0.4742  1 Cr 1.80
O 0.6495 0.5757 0.8645  2 Fe 1.94-2.03, 1 Cr 2.01
O 0.5921 0.1152 0.4973  3 Cr 1.95-2.03
O 0.7831 0.2869 0.4075  2 Cr 2.00-2.04, 1 Fe 2.02
O 0.8044 0.5894 0.6069  1 Fe 2.00, 1 Cr 2.02
O 0.5508 0.3178 0.0847  1 Cr 1.76
O 0.1097 0.6530 0.7685  2 Cr 1.81-2.00
O 0.9475 0.1482 0.8392  1 Fe 1.94, 2 Cr 1.94-2.11
O 0.4255 0.3847 0.2934  3 Fe 1.88-2.05
O 0.9135 0.5030 0.9912  2 Fe 1.91-2.04, 1 Cr 2.03
O 0.7270 0.8389 0.8498  3 Fe 1.93-2.15, 1 Cr 2.11
O 0.2790 0.5072 0.5972  1 Cr 1.72
O 0.5109 0.7907 0.9989  3 Fe 1.83-2.04
O 0.4579 0.0063 0.6751  3 Cr 1.82-1.99
O 0.1867 0.3639 0.3373  4 Fe 1.95-2.18
O 0.5334 0.5564 0.4947  1 Fe 1.93, 1 Cr 2.03
O 0.1546 0.9912 0.6431  2 Fe 1.90-1.97, 1 Cr 1.96
O 0.9742 0.1510 0.2514  1 Fe 1.89, 2 Cr 1.90-1.93
O 0.3280 0.8150 0.7692  2 Cr 1.80-1.94
O 0.9521 0.8598 0.7366  2 Cr 1.99-2.01, 2 Fe 2.12
O 0.4113 0.1621 0.8507  1 Cr 1.79
O 0.5390 0.8444 0.3861  2 Cr 1.87-2.00, 1 Fe 2.04
O 0.9935 0.4714 0.4851  2 Cr 1.93-1.96, 1 Fe 2.11
O 0.8305 0.2453 0.0410  2 Cr 1.83-1.97, 1 Fe 2.02
O 0.9289 0.0084 0.4723  2 Cr 1.91-1.96, 1 Fe 2.00
O 0.7725 0.3596 0.7389  1 Cr 1.81
O 0.1835 0.9570 0.8934  3 Cr 1.92-1.95
O 0.2179 0.7943 0.1265  2 Cr 1.85-2.00
O 0.3117 0.1738 0.1212  1 Cr 1.88, 1 Fe 1.92
O 0.7596 0.5040 0.2552  4 Fe 2.03-2.23
O 0.0873 0.2897 0.0353  1 Cr 1.82
O 0.9382 0.2121 0.5773  2 Cr 1.85-2.02
O 0.5123 0.3601 0.6320  2 Cr 1.86-1.93, 1 Fe 2.02
O 0.7570 0.9643 0.2397  2 Fe 1.94-2.07, 1 Cr 2.03
O 0.1500 0.9596 0.3036  3 Cr 2.00-2.09, 1 Fe 2.02
O 0.0000 0.9829 0.0682  3 Cr 1.93-2.16, 1 Fe 2.00
O 0.7400 0.9670 0.6106  1 Cr 1.78
O 0.5669 0.7724 0.6354  1 Fe 1.96, 3 Cr 1.98-2.12
O 0.8188 0.7466 0.1090  2 Fe 1.90-2.06
O 0.6098 0.0955 0.0356  1 Cr 1.71
O 0.8016 0.7609 0.4310  2 Fe 1.90-1.92, 1 Cr 2.04
O 0.3075 0.6491 0.3176  2 Cr 1.95-1.97, 2 Fe 2.02-2.17
O 0.0298 0.4105 0.7442  3 Cr 1.85-2.07
O 0.2423 0.5072 0.0813  3 Fe 1.96-2.18
O 0.3312 0.2034 0.5274  1 Cr 1.94, 2 Fe 1.96-1.97
O 0.3907 0.9826 0.0439  2 Cr 1.85-1.96
O 0.5666 0.6458 0.1963  3 Fe 1.87-2.08



(4)
DFT (GGA+U) results for a relaxed Cr10Fe5O24 crystal.

## Properties
The space group is Cm (8). The calculation puts the formation energy at -1.966 eV/atom.

Cell: 5.9893 5.9893 14.6693 Å, 89.98 89.98 59.96°
Closest atoms and distances in Å follow each position.
Positions (direct):
Cr 0.1717 0.1717 0.2074  6 O 1.95-2.09
Cr 0.6576 0.1714 0.2077  6 O 1.95-2.09
Cr 0.8380 0.3240 0.5408  6 O 1.94-2.09
Cr 0.3240 0.8380 0.5408  6 O 1.94-2.09
Cr 0.1714 0.6576 0.2077  6 O 1.95-2.09
Cr 0.8378 0.8378 0.5410  6 O 1.95-2.10
Cr 0.6652 0.6652 0.7143  6 O 1.92-2.11
Cr 0.0002 0.0002 0.3780  6 O 1.96-2.09
Cr 0.9932 0.5056 0.8739  6 O 1.96-2.09
Cr 0.5056 0.9932 0.8739  6 O 1.96-2.09
Fe 0.3333 0.3333 0.0452  6 O 1.95-2.08
Fe 0.6666 0.6666 0.3329  4 O 1.94-1.95
Fe 0.0008 0.0008 0.0009  4 O 1.93-1.95
Fe 0.5050 0.5050 0.8740  6 O 1.93-2.09
Fe 0.3331 0.3331 0.6668  4 O 1.94-1.95
O 0.3130 0.8437 0.2885  1 Fe 1.95, 3 Cr 2.08-2.09
O 0.8437 0.3130 0.2885  1 Fe 1.95, 3 Cr 2.08-2.09
O 0.4796 0.0411 0.1293  1 Fe 1.95, 2 Cr 1.97-1.98
O 0.0411 0.4796 0.1293  1 Fe 1.95, 2 Cr 1.97-1.98
O 0.1443 0.1443 0.4650  3 Cr 1.95-1.97
O 0.3334 0.3334 0.2757  3 Cr 1.95
O 0.4794 0.4794 0.1293  1 Fe 1.96, 2 Cr 1.97
O 0.6665 0.6665 0.4653  1 Fe 1.94, 3 Cr 2.09-2.10
O 0.5093 0.5093 0.6221  1 Fe 1.94, 3 Cr 2.08-2.11
O 0.0003 0.0003 0.1324  1 Fe 1.93, 3 Cr 2.09
O 0.8434 0.8434 0.2887  1 Fe 1.94, 3 Cr 2.08-2.09
O 0.9779 0.5102 0.6230  1 Fe 1.95, 3 Cr 2.08-2.10
O 0.5102 0.9779 0.6230  1 Fe 1.95, 3 Cr 2.08-2.10
O 0.8131 0.3748 0.7952  2 Cr 1.92-1.99, 1 Fe 1.98
O 0.7122 0.1451 0.4646  3 Cr 1.94-1.96
O 0.3748 0.8131 0.7952  2 Cr 1.92-1.99, 1 Fe 1.98
O 0.1451 0.7122 0.4646  3 Cr 1.94-1.96
O 0.8121 0.8121 0.7967  3 Cr 1.95-1.96
O 0.6638 0.6638 0.9429  1 Fe 1.93, 2 Cr 1.99
O 0.0007 0.0007 0.6078  3 Cr 1.94-1.95
O 0.1772 0.1772 0.9561  2 Fe 1.94-2.08, 2 Cr 2.09
O 0.3339 0.3339 0.7995  2 Fe 1.95-2.08, 2 Cr 2.08
O 0.6460 0.1758 0.9560  3 Fe 1.95-2.09, 1 Cr 2.07
O 0.1758 0.6460 0.9560  3 Fe 1.95-2.09, 1 Cr 2.07